Mo6OsRu | PBE | optimized geometry

Cell lengths 5.0024, 5.0024, 5.0024 Å; angles 90.00, 90.00, 90.00 degrees
With the nearest neighbours (Å) after each atom.
Positions (direct):
Mo: 0.0000 0.2499 0.5000  2 Mo 2.50, 2 Os 2.80, 2 Ru 2.80
Mo: 0.0000 0.7501 0.5000  2 Mo 2.50, 2 Os 2.80, 2 Ru 2.80
Mo: 0.2499 0.5000 0.0000  2 Mo 2.50, 2 Os 2.80, 2 Ru 2.80
Mo: 0.5000 0.0000 0.2499  2 Mo 2.50, 2 Os 2.80, 2 Ru 2.80
Mo: 0.5000 0.0000 0.7501  2 Mo 2.50, 2 Os 2.80, 2 Ru 2.80
Mo: 0.7501 0.5000 0.0000  2 Mo 2.50, 2 Os 2.80, 2 Ru 2.80
Os: 0.0000 0.0000 0.0000  12 Mo 2.80
Ru: 0.5000 0.5000 0.5000  12 Mo 2.80

Output
**Total energy**: -10.669 eV/atom
**Total magnetic moment**: 0.06 μB/cell
**E_form**: 0.028 eV/atom